(1)
The following is a PBE-GGA calculation of crystalline AsXeO2F7 at its relaxed geometry, from the Materials Project database.

Summary:
**Formation enthalpy at 0 K**: -1.309 eV/atom

Geometry as CIF:
```
data_AsXeO2F7
_chemical_formula_sum 'As4 Xe4 O8 F28'
_cell_length_a 8.947
_cell_length_b 9.082
_cell_length_c 9.236
_cell_angle_alpha 90.00
_cell_angle_beta 90.00
_cell_angle_gamma 90.00
_symmetry_space_group_name_H-M 'P 21 21 21'
_symmetry_Int_Tables_number 19
loop_
_symmetry_equiv_pos_as_xyz
'x,y,z'
'-x+1/2,-y,z+1/2'
'x+1/2,-y+1/2,-z'
'-x,y+1/2,-z+1/2'
loop_
_atom_site_label
_atom_site_type_symbol
_atom_site_fract_x
_atom_site_fract_y
_atom_site_fract_z
As1 As 0.131 0.129 0.390
Xe1 Xe 0.014 0.563 0.551
O1 O 0.019 0.257 0.901
O2 O 0.108 0.473 0.705
F1 F 0.043 0.544 0.118
F2 F 0.051 0.309 0.390
F3 F 0.132 0.124 0.579
F4 F 0.134 0.134 0.195
F5 F 0.187 0.795 0.889
F6 F 0.197 0.600 0.425
F7 F 0.223 0.950 0.384
```

(2)
The following is a PBE-GGA calculation of crystalline ZnAs3OF18 at its relaxed geometry, from the Materials Project database.

Summary:
**Formation enthalpy at 0 K**: -2.164 eV/atom

Geometry as CIF:
```
data_ZnAs3OF18
_chemical_formula_sum 'Zn4 As12 O4 F72'
_cell_length_a 10.554
_cell_length_b 14.249
_cell_length_c 9.684
_cell_angle_alpha 90.00
_cell_angle_beta 90.00
_cell_angle_gamma 90.00
_symmetry_space_group_name_H-M 'P n m a'
_symmetry_Int_Tables_number 62
loop_
_symmetry_equiv_pos_as_xyz
'x,y,z'
'-x,-y,-z'
'-x+1/2,-y,z+1/2'
'x+1/2,y,-z+1/2'
'x+1/2,-y+1/2,-z+1/2'
'-x+1/2,y+1/2,z+1/2'
'-x,y+1/2,-z'
'x,-y+1/2,z'
loop_
_atom_site_label
_atom_site_type_symbol
_atom_site_fract_x
_atom_site_fract_y
_atom_site_fract_z
Zn1 Zn 0.000 0.000 0.000
As1 As 0.023 0.250 0.108
As2 As 0.204 0.052 0.696
O1 O 0.068 0.750 0.481
F1 F 0.024 0.750 0.065
F2 F 0.025 0.122 0.109
F3 F 0.075 0.250 0.282
F4 F 0.079 0.057 0.826
F5 F 0.122 0.136 0.598
F6 F 0.123 0.538 0.610
F7 F 0.133 0.750 0.835
F8 F 0.172 0.549 0.065
F9 F 0.183 0.250 0.058
F10 F 0.214 0.032 0.294
F11 F 0.216 0.643 0.281
```

| no. | magnetic moment (μB per formula unit) |
| --- | --- |
| 1 | 0.00 |
| 2 | 3.10 |